Entry 1:
VASP calculation (PBE) on a relaxed Rb3Ge crystal.

abc: 8.728 8.728 6.384
angles: 90.00 90.00 120.00
Element x y z (fractional)
Rb1 0.186 0.371 0.250
Rb2 0.186 0.814 0.250
Rb3 0.371 0.186 0.750
Rb4 0.629 0.814 0.250
Rb5 0.814 0.186 0.750
Rb6 0.814 0.629 0.750
Ge1 0.333 0.667 0.750
Ge2 0.667 0.333 0.250

## Properties
**E_form**: 0.8 eV per formula unit
**ρ**: 2.59 g/cm3

Entry 2:
VASP calculation (PBE) on a relaxed Rb3Ge crystal.

abc: 6.256 6.256 9.660
angles: 90.00 90.00 90.00
Element x y z (fractional)
Rb1 0.000 0.000 0.000
Rb2 0.000 0.500 0.250
Rb3 0.000 0.500 0.750
Rb4 0.500 0.000 0.250
Rb5 0.500 0.000 0.750
Rb6 0.500 0.500 0.500
Ge1 0.000 0.000 0.500
Ge2 0.500 0.500 0.000

## Properties
**E_form**: 0.8 eV per formula unit
**ρ**: 2.89 g/cm3

Entry 3:
VASP calculation (PBE) on a relaxed Rb2Ge2S5 crystal.

abc: 11.207 11.207 9.305
angles: 100.41 100.41 90.23
Element x y z (fractional)
Rb1 0.060 0.209 0.127
Rb2 0.209 0.060 0.627
Rb3 0.211 0.475 0.626
Rb4 0.475 0.211 0.126
Rb5 0.525 0.789 0.874
Rb6 0.789 0.525 0.374
Rb7 0.791 0.940 0.373
Rb8 0.940 0.791 0.873
Ge1 0.138 0.730 0.385
Ge2 0.267 0.527 0.101
Ge3 0.270 0.862 0.115
Ge4 0.473 0.733 0.399
Ge5 0.527 0.267 0.601
Ge6 0.730 0.138 0.885
Ge7 0.733 0.473 0.899
Ge8 0.862 0.270 0.615
S1 0.004 0.753 0.524
S2 0.118 0.544 0.240
S3 0.119 0.881 0.250
S4 0.244 0.355 0.955
S5 0.245 0.677 0.962
S6 0.247 0.996 0.976
S7 0.323 0.755 0.538
S8 0.355 0.244 0.455
S9 0.453 0.547 0.250
S10 0.456 0.882 0.260
S11 0.544 0.118 0.740
S12 0.547 0.453 0.750
S13 0.645 0.756 0.545
S14 0.677 0.245 0.462
S15 0.753 0.004 0.024
S16 0.755 0.323 0.038
S17 0.756 0.645 0.045
S18 0.881 0.119 0.750
S19 0.882 0.456 0.760
S20 0.996 0.247 0.476

## Properties
**E_form**: -9.5 eV per formula unit
**ρ**: 2.80 g/cm3
**Corrected total energy (MP2020 scheme)**: -4.5988 eV per atom

Entry 4:
VASP calculation (PBE) on a relaxed RbTaGeS5 crystal.

abc: 7.027 7.222 9.195
angles: 69.38 78.37 75.83
Element x y z (fractional)
Rb1 0.093 0.359 0.310
Rb2 0.907 0.641 0.690
Ta1 0.259 0.972 0.996
Ta2 0.741 0.028 0.004
Ge1 0.478 0.706 0.376
Ge2 0.522 0.294 0.624
S1 0.059 0.772 0.970
S2 0.190 0.870 0.293
S3 0.282 0.119 0.705
S4 0.431 0.610 0.644
S5 0.433 0.246 0.991
S6 0.567 0.754 0.009
S7 0.569 0.390 0.356
S8 0.718 0.881 0.295
S9 0.810 0.130 0.707
S10 0.941 0.228 0.030

## Properties
**E_form**: -9.3 eV per formula unit
**ρ**: 3.95 g/cm3
**Corrected total energy (MP2020 scheme)**: -5.9244 eV per atom

Among the records above, which one has the highest ρ? RbTaGeS5

What is the E_form in the second record? 0.8 eV per formula unit

ρ of number 2 (Rb3Ge)? 2.89 g/cm3